[1]
Mn2Zn3Ge3O12 | PBE+U | optimized geometry

The space group is Ia-3d (No. 230) and the conventional cell measures 12.155, 12.155 and 12.155 Å, with angles of 90.00, 90.00 and 90.00 degrees. Symmetry generates all atoms from Mn at (0.000, 0.000, 0.000), Zn at (0.000, 0.250, 0.125), Ge at (0.000, 0.250, 0.375) and O at (0.027, 0.054, 0.655).

The uncorrected energy comes out at -0.22247 Ha/atom. Its formation energy is -1.87 eV per atom. The crystal system is cubic.



[2]
MnZnGeO4 | PBE+U | optimized geometry

The space group is Pnma (No. 62) and the conventional cell measures 10.874, 6.279 and 5.026 Å, with angles of 90.00, 90.00 and 90.00 degrees. Symmetry generates all atoms from Mn at (0.222, 0.250, 0.009), Zn at (0.000, 0.000, 0.500), Ge at (0.094, 0.750, 0.067), O at (0.055, 0.250, 0.768), O at (0.090, 0.750, 0.716) and O at (0.163, 0.527, 0.230).

The uncorrected energy comes out at -0.23359 Ha/atom. Its formation energy is -2.01 eV per atom. The crystal system is orthorhombic.